w.
Material: Sm3TaO7
Method: DFT, PBE
State: relaxed

abc: 6.6008 6.6008 7.6709
angles: 90.00 90.00 69.41
Atoms (fractional coordinates):
Sm  0.0000  0.0000  0.0000
Sm  0.0000  0.0000  0.5000
Sm  0.0586  0.4827  0.7500
Sm  0.4827  0.0586  0.2500
Sm  0.5173  0.9414  0.7500
Sm  0.9414  0.5173  0.2500
Ta  0.5000  0.5000  0.0000
Ta  0.5000  0.5000  0.5000
O  0.1119  0.1516  0.2500
O  0.1516  0.1119  0.7500
O  0.1824  0.5629  0.0317
O  0.1824  0.5629  0.4683
O  0.4335  0.5665  0.7500
O  0.4371  0.8176  0.0317
O  0.4371  0.8176  0.4683
O  0.5629  0.1824  0.5317
O  0.5629  0.1824  0.9683
O  0.5665  0.4335  0.2500
O  0.8176  0.4371  0.5317
O  0.8176  0.4371  0.9683
O  0.8484  0.8881  0.2500
O  0.8881  0.8484  0.7500

Results
As for the space group: No. 63. For the volume, the calculation gives 312.9 Å³ per cell.



x.
Material: Sm3TaO7
Method: DFT, PBE
State: relaxed

abc: 6.6245 6.6245 7.6539
angles: 90.00 90.00 109.30
Atoms (fractional coordinates):
Sm  0.0231  0.0231  0.0000
Sm  0.0352  0.4994  0.2539
Sm  0.4994  0.0352  0.7461
Sm  0.5006  0.9648  0.2461
Sm  0.9648  0.5006  0.7539
Sm  0.9769  0.9769  0.5000
Ta  0.4977  0.4977  0.5000
Ta  0.5023  0.5023  0.0000
O  0.1295  0.8705  0.7500
O  0.1363  0.8637  0.2500
O  0.1790  0.4227  0.9730
O  0.1897  0.4408  0.5353
O  0.4227  0.1790  0.0270
O  0.4390  0.5610  0.2500
O  0.4408  0.1897  0.4647
O  0.5592  0.8103  0.9647
O  0.5610  0.4390  0.7500
O  0.5773  0.8210  0.5270
O  0.8103  0.5592  0.0353
O  0.8210  0.5773  0.4730
O  0.8637  0.1363  0.7500
O  0.8705  0.1295  0.2500

Results
As for the space group: No. 20. For the volume, the calculation gives 317.0 Å³ per cell.



y.
Material: Sm3TaO7
Method: DFT, PBE
State: relaxed

abc: 8.3037 8.3037 5.4719
angles: 90.00 90.00 125.15
Atoms (fractional coordinates):
Sm  0.0000  0.5000  0.5000
Sm  0.1178  0.8822  0.9724
Sm  0.3822  0.6178  0.9724
Sm  0.5000  0.0000  0.5000
Sm  0.6178  0.3822  0.0276
Sm  0.8822  0.1178  0.0276
Ta  0.2500  0.2500  0.5000
Ta  0.7500  0.7500  0.5000
O  0.0103  0.9897  0.7075
O  0.1071  0.3390  0.7333
O  0.1610  0.3929  0.2667
O  0.2500  0.7500  0.7432
O  0.3390  0.1071  0.2667
O  0.3929  0.1610  0.7333
O  0.4897  0.5103  0.7075
O  0.5103  0.4897  0.2925
O  0.6071  0.8390  0.2667
O  0.6610  0.8929  0.7333
O  0.7500  0.2500  0.2568
O  0.8390  0.6071  0.7333
O  0.8929  0.6610  0.2667
O  0.9897  0.0103  0.2925

Results
As for the space group: No. 67. For the volume, the calculation gives 308.5 Å³ per cell.



Which is most stable? The ranking, best first, is x, w, y.



w.
Material: Sm2TeO6
Method: DFT, PBE
State: relaxed

abc: 5.0893 5.0893 10.3209
angles: 90.00 90.00 90.00
Atoms (fractional coordinates):
Sm  0.0000  0.0000  0.1654
Sm  0.0000  0.0000  0.8346
Sm  0.5000  0.5000  0.3346
Sm  0.5000  0.5000  0.6654
Te  0.0000  0.0000  0.5000
Te  0.5000  0.5000  0.0000
O  0.1808  0.1808  0.3577
O  0.1808  0.1808  0.6423
O  0.2274  0.2274  0.0000
O  0.2726  0.7274  0.5000
O  0.3192  0.6808  0.1423
O  0.3192  0.6808  0.8577
O  0.6808  0.3192  0.1423
O  0.6808  0.3192  0.8577
O  0.7274  0.2726  0.5000
O  0.7726  0.7726  0.0000
O  0.8192  0.8192  0.3577
O  0.8192  0.8192  0.6423

Results
As for the space group: No. 136. For the volume, the calculation gives 267.3 Å³ per cell.



x.
Material: Sm2TeO6
Method: DFT, PBE
State: relaxed

abc: 9.2847 9.2847 5.3695
angles: 90.00 90.00 120.00
Atoms (fractional coordinates):
Sm  0.0000  0.2764  0.0000
Sm  0.0000  0.6139  0.5000
Sm  0.2764  0.0000  0.0000
Sm  0.3861  0.3861  0.5000
Sm  0.6139  0.0000  0.5000
Sm  0.7236  0.7236  0.0000
Te  0.0000  0.0000  0.5000
Te  0.3333  0.6667  0.9989
Te  0.6667  0.3333  0.0011
O  0.0719  0.8761  0.2920
O  0.1239  0.1958  0.2920
O  0.1369  0.5430  0.2088
O  0.1958  0.1239  0.7080
O  0.2270  0.7594  0.7887
O  0.2406  0.4676  0.7887
O  0.4061  0.8631  0.2088
O  0.4570  0.5939  0.2088
O  0.4676  0.2406  0.2113
O  0.5324  0.7730  0.7887
O  0.5430  0.1369  0.7912
O  0.5939  0.4570  0.7912
O  0.7594  0.2270  0.2113
O  0.7730  0.5324  0.2113
O  0.8042  0.9281  0.2920
O  0.8631  0.4061  0.7912
O  0.8761  0.0719  0.7080
O  0.9281  0.8042  0.7080

Results
As for the space group: No. 150. For the volume, the calculation gives 400.9 Å³ per cell.



y.
Material: Sm2TeO6
Method: DFT, PBE
State: relaxed

abc: 5.4196 9.3118 10.1996
angles: 90.00 90.00 90.00
Atoms (fractional coordinates):
Sm  0.0246  0.1037  0.4583
Sm  0.0336  0.2173  0.8624
Sm  0.4664  0.7827  0.3624
Sm  0.4754  0.8963  0.9583
Sm  0.5246  0.3963  0.5417
Sm  0.5336  0.2827  0.1376
Sm  0.9664  0.7173  0.6376
Sm  0.9754  0.6037  0.0417
Te  0.0409  0.4950  0.3565
Te  0.4591  0.5050  0.8565
Te  0.5409  0.0050  0.6435
Te  0.9591  0.9950  0.1435
O  0.0756  0.8483  0.0227
O  0.1688  0.9473  0.2894
O  0.1828  0.6377  0.2419
O  0.1889  0.6405  0.8242
O  0.2244  0.1130  0.0645
O  0.2485  0.5860  0.4933
O  0.2515  0.4140  0.9933
O  0.2756  0.8870  0.5645
O  0.3111  0.3595  0.3242
O  0.3172  0.3623  0.7419
O  0.3312  0.0527  0.7894
O  0.4244  0.1517  0.5227
O  0.5756  0.6517  0.9773
O  0.6688  0.5527  0.7106
O  0.6828  0.8623  0.7581
O  0.6889  0.8595  0.1758
O  0.7244  0.3870  0.9355
O  0.7485  0.9140  0.5067
O  0.7515  0.0860  0.0067
O  0.7756  0.6130  0.4355
O  0.8111  0.1405  0.6758
O  0.8172  0.1377  0.2581
O  0.8312  0.4473  0.2106
O  0.9244  0.3483  0.4773

Results
As for the space group: No. 19. For the volume, the calculation gives 514.7 Å³ per cell.



Which is most stable? The ranking, best first, is y, x, w.



w.
Material: Sm2Zr8O19
Method: DFT, PBE
State: relaxed

abc: 3.5788 3.7036 26.1978
angles: 90.00 90.00 90.00
Atoms (fractional coordinates):
Sm  0.0000  0.0000  0.0000
Sm  0.5000  0.5000  0.1184
Zr  0.0000  0.0000  0.2177
Zr  0.0000  0.0000  0.4143
Zr  0.0000  0.0000  0.6092
Zr  0.0000  0.0000  0.8045
Zr  0.5000  0.5000  0.3160
Zr  0.5000  0.5000  0.5117
Zr  0.5000  0.5000  0.7068
Zr  0.5000  0.5000  0.9024
O  0.0000  0.5000  0.0516
O  0.0000  0.5000  0.1740
O  0.0000  0.5000  0.2697
O  0.0000  0.5000  0.3684
O  0.0000  0.5000  0.4630
O  0.0000  0.5000  0.5608
O  0.0000  0.5000  0.6551
O  0.0000  0.5000  0.7532
O  0.0000  0.5000  0.8484
O  0.0000  0.5000  0.9470
O  0.5000  0.0000  0.1586
O  0.5000  0.0000  0.2594
O  0.5000  0.0000  0.3581
O  0.5000  0.0000  0.4588
O  0.5000  0.0000  0.5561
O  0.5000  0.0000  0.6568
O  0.5000  0.0000  0.7539
O  0.5000  0.0000  0.8550
O  0.5000  0.0000  0.9509

Results
As for the space group: No. 25. For the volume, the calculation gives 347.2 Å³ per cell.



x.
Material: Sm2Zr8O19
Method: DFT, PBE
State: relaxed

abc: 3.6633 3.6633 25.9407
angles: 90.00 90.00 90.00
Atoms (fractional coordinates):
Sm  0.0000  0.5000  0.0576
Sm  0.5000  0.0000  0.9424
Zr  0.0000  0.5000  0.2537
Zr  0.0000  0.5000  0.4509
Zr  0.0000  0.5000  0.6476
Zr  0.0000  0.5000  0.8446
Zr  0.5000  0.0000  0.1554
Zr  0.5000  0.0000  0.3524
Zr  0.5000  0.0000  0.5491
Zr  0.5000  0.0000  0.7463
O  0.0000  0.0000  0.0000
O  0.0000  0.0000  0.1120
O  0.0000  0.0000  0.2096
O  0.0000  0.0000  0.3070
O  0.0000  0.0000  0.4038
O  0.0000  0.0000  0.5000
O  0.0000  0.0000  0.5962
O  0.0000  0.0000  0.6930
O  0.0000  0.0000  0.7904
O  0.0000  0.0000  0.8880
O  0.5000  0.5000  0.1007
O  0.5000  0.5000  0.1991
O  0.5000  0.5000  0.2987
O  0.5000  0.5000  0.3990
O  0.5000  0.5000  0.5000
O  0.5000  0.5000  0.6010
O  0.5000  0.5000  0.7013
O  0.5000  0.5000  0.8009
O  0.5000  0.5000  0.8993

Results
As for the space group: No. 115. For the volume, the calculation gives 348.1 Å³ per cell.



Which is most stable? The ranking, best first, is x, w.



w.
Material: Sr2SnO4
Method: DFT, PBE
State: relaxed

abc: 6.9267 6.9267 5.9190
angles: 90.00 90.00 130.50
Atoms (fractional coordinates):
Sr  0.1472  0.8528  0.9854
Sr  0.3528  0.6472  0.4854
Sr  0.6472  0.3528  0.5146
Sr  0.8528  0.1472  0.0146
Sn  0.0000  0.0000  0.5000
Sn  0.5000  0.5000  0.0000
O  0.1632  0.8368  0.5572
O  0.2284  0.2716  0.7500
O  0.2716  0.2284  0.2500
O  0.3368  0.6632  0.0572
O  0.6632  0.3368  0.9428
O  0.7284  0.7716  0.7500
O  0.7716  0.7284  0.2500
O  0.8368  0.1632  0.4428

Results
As for the space group: No. 64. For the volume, the calculation gives 216.0 Å³ per cell.



x.
Material: Sr2SnO4
Method: DFT, PBE
State: relaxed

abc: 6.9864 6.9864 6.9864
angles: 145.72 145.72 49.26
Atoms (fractional coordinates):
Sr  0.1462  0.1462  0.0000
Sr  0.8538  0.8538  0.0000
Sn  0.5000  0.5000  0.0000
O  0.0000  0.5000  0.5000
O  0.3360  0.3360  0.0000
O  0.5000  0.0000  0.5000
O  0.6640  0.6640  0.0000

Results
As for the space group: No. 139. For the volume, the calculation gives 107.7 Å³ per cell.



Which is most stable? The ranking, best first, is w, x.



w.
Material: Sr2TbSnO6
Method: DFT, PBE
State: relaxed

abc: 6.0316 6.0316 6.0316
angles: 60.00 60.00 60.00
Atoms (fractional coordinates):
Sr  0.2500  0.2500  0.2500
Sr  0.7500  0.7500  0.7500
Tb  0.0000  0.0000  0.0000
Sn  0.5000  0.5000  0.5000
O  0.2593  0.2593  0.7407
O  0.2593  0.7407  0.2593
O  0.2593  0.7407  0.7407
O  0.7407  0.2593  0.2593
O  0.7407  0.2593  0.7407
O  0.7407  0.7407  0.2593

Results
As for the space group: No. 225. For the volume, the calculation gives 155.2 Å³ per cell.



x.
Material: Sr2TbSnO6
Method: DFT, PBE
State: relaxed

abc: 8.4757 8.4757 8.4757
angles: 90.00 90.00 90.00
Atoms (fractional coordinates):
Sr  0.2500  0.2500  0.2500
Sr  0.2500  0.2500  0.7500
Sr  0.2500  0.7500  0.2500
Sr  0.2500  0.7500  0.7500
Sr  0.7500  0.2500  0.2500
Sr  0.7500  0.2500  0.7500
Sr  0.7500  0.7500  0.2500
Sr  0.7500  0.7500  0.7500
Tb  0.0000  0.0000  0.0000
Tb  0.0000  0.5000  0.5000
Tb  0.5000  0.0000  0.5000
Tb  0.5000  0.5000  0.0000
Sn  0.0000  0.0000  0.5000
Sn  0.0000  0.5000  0.0000
Sn  0.5000  0.0000  0.0000
Sn  0.5000  0.5000  0.5000
O  0.0342  0.5404  0.7600
O  0.0342  0.9596  0.7400
O  0.0404  0.2400  0.5342
O  0.0404  0.2600  0.9658
O  0.2400  0.5342  0.0404
O  0.2400  0.9658  0.4596
O  0.2600  0.5342  0.4596
O  0.2600  0.9658  0.0404
O  0.4596  0.2400  0.9658
O  0.4596  0.2600  0.5342
O  0.4658  0.5404  0.7400
O  0.4658  0.9596  0.7600
O  0.5342  0.0404  0.2400
O  0.5342  0.4596  0.2600
O  0.5404  0.7400  0.4658
O  0.5404  0.7600  0.0342
O  0.7400  0.0342  0.9596
O  0.7400  0.4658  0.5404
O  0.7600  0.0342  0.5404
O  0.7600  0.4658  0.9596
O  0.9596  0.7400  0.0342
O  0.9596  0.7600  0.4658
O  0.9658  0.0404  0.2600
O  0.9658  0.4596  0.2400

Results
As for the space group: No. 201. For the volume, the calculation gives 608.9 Å³ per cell.



Which is most stable? The ranking, best first, is x, w.



w.
Material: SrZr2SnO6
Method: DFT, PBE
State: relaxed

abc: 4.1944 4.1944 8.3950
angles: 90.00 90.00 90.00
Atoms (fractional coordinates):
Sr  0.0000  0.0000  0.0000
Zr  0.5000  0.5000  0.2508
Zr  0.5000  0.5000  0.7492
Sn  0.0000  0.0000  0.5000
O  0.0000  0.5000  0.2453
O  0.0000  0.5000  0.7547
O  0.5000  0.0000  0.2453
O  0.5000  0.0000  0.7547
O  0.5000  0.5000  0.0000
O  0.5000  0.5000  0.5000

Results
As for the space group: No. 123. For the volume, the calculation gives 147.7 Å³ per cell.



x.
Material: SrZr2SnO6
Method: DFT, PBE
State: relaxed

abc: 5.8180 5.8180 4.2330
angles: 90.00 90.00 90.87
Atoms (fractional coordinates):
Sr  0.0000  0.0000  0.0000
Zr  0.0000  0.5000  0.5000
Zr  0.5000  0.0000  0.5000
Sn  0.5000  0.5000  0.0000
O  0.0000  0.5000  0.0000
O  0.1855  0.8145  0.5000
O  0.3127  0.3127  0.5000
O  0.5000  0.0000  0.0000
O  0.6873  0.6873  0.5000
O  0.8145  0.1855  0.5000

Results
As for the space group: No. 65. For the volume, the calculation gives 143.3 Å³ per cell.



Which is most stable? The ranking, best first, is x, w.